12
Lattice="4.261 0.000 0.000 -2.131 3.690 0.000 0.000 0.000 23.157" Properties=species:S:1:pos:R:3 comment="PBE RbPrS2, relaxed" ef_ev_per_atom=-2.060 pbc="T T T"
Rb 0.000 0.000 0.000
Rb 0.000 2.460 15.438
Rb 2.131 1.230 7.719
Pr 0.000 0.000 11.579
Pr 0.000 2.460 3.860
Pr 2.131 1.230 19.298
S 0.000 0.000 5.391
S 0.000 0.000 17.766
S 0.000 2.460 10.047
S 0.000 2.460 20.830
S 2.131 1.230 2.328
S 2.131 1.230 13.111